[1]
DFT (meta-GGA r2SCAN) results for Cu5Se2Cl2O8 after structural relaxation.

Geometry as CIF:
```
data_Cu5Se2Cl2O8
_space_group_name_H-M_alt 'P 1'
_space_group_IT_number 1
_space_group_name_Hall 'P 1'
_cell_length_a 8.137
_cell_length_b 5.421
_cell_length_c 11.080
_cell_angle_alpha 80.52
_cell_angle_beta 90.00
_cell_angle_gamma 90.00
loop_
_atom_site_label
_atom_site_type_symbol
_atom_site_fract_x
_atom_site_fract_y
_atom_site_fract_z
Cl1 Cl 0.347 0.279 0.976
O1 O 0.268 0.712 0.252
O2 O 0.058 0.350 0.739
Cu1 Cu 0.714 0.483 0.883
Cu2 Cu 0.075 0.523 0.880
O3 O 0.768 0.288 0.248
O4 O 0.567 0.920 0.341
O5 O 0.067 0.080 0.159
O6 O 0.442 0.350 0.239
O7 O 0.101 0.671 0.028
Cu3 Cu 0.500 0.000 0.500
O8 O 0.899 0.329 0.972
Se1 Se 0.909 0.135 0.713
Cu4 Cu 0.786 0.483 0.383
Cu5 Cu 0.425 0.523 0.380
Cl2 Cl 0.653 0.721 0.024
Cl3 Cl 0.153 0.279 0.476
Se2 Se 0.591 0.135 0.213
O9 O 0.399 0.671 0.528
O10 O 0.933 0.920 0.841
O11 O 0.732 0.288 0.748
O12 O 0.232 0.712 0.752
O13 O 0.433 0.080 0.659
Cu6 Cu 0.000 0.000 0.000
Cu7 Cu 0.286 0.517 0.117
Se3 Se 0.091 0.865 0.287
O14 O 0.558 0.650 0.761
Cl4 Cl 0.847 0.721 0.524
Cu8 Cu 0.214 0.517 0.617
O15 O 0.601 0.329 0.472
Cu9 Cu 0.925 0.477 0.120
O16 O 0.942 0.650 0.261
Se4 Se 0.409 0.865 0.787
Cu10 Cu 0.575 0.477 0.620
```

The calculation puts the energy at -9.206 eV/atom. The value obtained for the spin magnetization is 1.00 μB per formula unit. For the formation energy from the elements, the calculation gives -0.797 eV/atom.

[2]
DFT (meta-GGA r2SCAN) results for Rb2CuCl4 after structural relaxation.

Geometry as CIF:
```
data_Rb2CuCl4
_space_group_name_H-M_alt 'P 1'
_space_group_IT_number 1
_space_group_name_Hall 'P 1'
_cell_length_a 8.610
_cell_length_b 8.610
_cell_length_c 7.148
_cell_angle_alpha 90.00
_cell_angle_beta 90.00
_cell_angle_gamma 131.04
loop_
_atom_site_label
_atom_site_type_symbol
_atom_site_fract_x
_atom_site_fract_y
_atom_site_fract_z
Rb1 Rb 0.861 0.139 0.500
Cl1 Cl 0.150 0.850 0.000
Cl2 Cl 0.650 0.350 0.500
Cl3 Cl 0.850 0.150 0.000
Rb2 Rb 0.639 0.361 0.000
Rb3 Rb 0.139 0.861 0.500
Cl4 Cl 0.226 0.226 0.775
Cu1 Cu 0.000 0.000 0.000
Cl5 Cl 0.350 0.650 0.500
Cl6 Cl 0.726 0.726 0.725
Rb4 Rb 0.361 0.639 0.000
Cu2 Cu 0.500 0.500 0.500
Cl7 Cl 0.274 0.274 0.275
Cl8 Cl 0.774 0.774 0.225
```

The calculation puts the energy at -10.603 eV/atom. The value obtained for the spin magnetization is 1.00 μB per formula unit. For the formation energy from the elements, the calculation gives -1.558 eV/atom.

[3]
DFT (meta-GGA r2SCAN) results for RbCuCl3 after structural relaxation.

Geometry as CIF:
```
data_RbCuCl3
_space_group_name_H-M_alt 'P 1'
_space_group_IT_number 1
_space_group_name_Hall 'P 1'
_cell_length_a 6.227
_cell_length_b 7.046
_cell_length_c 11.808
_cell_angle_alpha 90.00
_cell_angle_beta 90.00
_cell_angle_gamma 90.00
loop_
_atom_site_label
_atom_site_type_symbol
_atom_site_fract_x
_atom_site_fract_y
_atom_site_fract_z
Cl1 Cl 0.183 0.742 0.586
Cl2 Cl 0.317 0.242 0.086
Cl3 Cl 0.250 0.000 0.852
Cl4 Cl 0.317 0.258 0.586
Cu1 Cu 0.000 0.500 0.500
Cu2 Cu 0.500 0.500 0.500
Cl5 Cl 0.683 0.742 0.414
Cl6 Cl 0.750 0.000 0.148
Cl7 Cl 0.683 0.758 0.914
Cu3 Cu 0.500 0.000 0.000
Cl8 Cl 0.250 0.500 0.352
Cu4 Cu 0.000 0.000 0.000
Rb1 Rb 0.250 0.000 0.338
Cl9 Cl 0.817 0.242 0.914
Rb2 Rb 0.750 0.000 0.662
Rb3 Rb 0.750 0.500 0.162
Cl10 Cl 0.817 0.258 0.414
Cl11 Cl 0.183 0.758 0.086
Rb4 Rb 0.250 0.500 0.838
Cl12 Cl 0.750 0.500 0.648
```

The calculation puts the energy at -9.945 eV/atom. The value obtained for the spin magnetization is 0.97 μB per formula unit. For the formation energy from the elements, the calculation gives -1.298 eV/atom.

[4]
DFT (meta-GGA r2SCAN) results for RbCuCl3 after structural relaxation.

Geometry as CIF:
```
data_RbCuCl3
_space_group_name_H-M_alt 'P 1'
_space_group_IT_number 1
_space_group_name_Hall 'P 1'
_cell_length_a 6.936
_cell_length_b 6.936
_cell_length_c 6.936
_cell_angle_alpha 117.61
_cell_angle_beta 117.61
_cell_angle_gamma 94.19
loop_
_atom_site_label
_atom_site_type_symbol
_atom_site_fract_x
_atom_site_fract_y
_atom_site_fract_z
Cu1 Cu 0.000 0.500 0.500
Cu2 Cu 0.500 0.000 0.500
Cl1 Cl 0.782 0.718 0.500
Cl2 Cl 0.718 0.218 0.935
Cl3 Cl 0.282 0.782 0.065
Rb1 Rb 0.250 0.250 0.000
Cl4 Cl 0.250 0.750 0.500
Cl5 Cl 0.218 0.282 0.500
Cl6 Cl 0.750 0.250 0.500
Rb2 Rb 0.750 0.750 0.000
```

The calculation puts the energy at -9.944 eV/atom. The value obtained for the spin magnetization is 0.00 μB per formula unit. For the formation energy from the elements, the calculation gives -1.297 eV/atom.